(1)
PBE-GGA Rb2TaCuS2, optimized geometry; crystal system = orthorhombic; space-group type = Fddd, No. 70
1.0
-1.588 -4.597 2.837
3.485 -5.549 -1.453
15.082 3.068 19.001
Rb S Cu Ta
8 8 4 4
Direct
0.240 0.230 0.891
0.361 0.770 0.109
0.389 0.730 0.391
0.510 0.270 0.609
0.530 0.230 0.109
0.220 0.270 0.391
0.881 0.730 0.609
0.869 0.770 0.891
0.751 0.264 0.344
0.358 0.736 0.656
0.845 0.764 0.156
0.764 0.236 0.844
0.999 0.236 0.156
0.905 0.736 0.344
0.392 0.764 0.844
0.986 0.264 0.656
0.375 0.250 0.250
0.375 0.250 0.750
0.375 0.750 0.250
0.875 0.750 0.750
0.875 0.250 0.750
0.875 0.250 0.250
0.875 0.750 0.250
0.375 0.750 0.750

---

(2)
PBE-GGA Mg6Si5, optimized geometry; crystal system = triclinic; distance to the lowest polymorph of the same formula = 58 meV per atom; space-group type = P1, No. 1; total moment = 0.00 μB per formula unit
1.0
5.357 0.000 0.000
-0.892 6.025 0.000
-1.180 -2.815 13.384
Mg Si
12 10
Direct
0.344 0.239 0.926
0.041 0.069 0.175
0.620 0.904 0.722
0.468 0.342 0.607
0.810 0.995 0.950
0.526 0.874 0.258
0.888 0.234 0.468
0.403 0.791 0.488
0.792 0.462 0.842
0.833 0.536 0.081
0.682 0.416 0.294
0.282 0.738 0.995
0.869 0.701 0.498
0.298 0.519 0.787
0.544 0.125 0.108
0.129 0.936 0.643
0.333 0.459 0.132
0.963 0.280 0.667
0.194 0.486 0.308
0.111 0.852 0.805
0.019 0.851 0.344
0.347 0.192 0.399

---

(3)
PBE-GGA LiTmU2S3O2, optimized geometry; crystal system = monoclinic; distance to the lowest polymorph of the same formula = 47 meV per atom; space-group type = Cm, No. 8; total moment = 5.68 μB per formula unit
1.0
3.792 0.020 -0.355
0.020 3.792 0.355
-2.830 -0.982 10.855
Li S O U Tm
1 3 2 2 1
Direct
0.588 0.916 0.504
0.842 0.913 0.755
0.582 0.434 0.016
0.336 0.922 0.258
0.590 0.416 0.505
0.090 0.915 0.505
0.932 0.421 0.354
0.238 0.412 0.650
0.070 0.936 0.006

---

| no. | ΔH_f (0 K) (eV per atom) |
| --- | --- |
| 1 | -0.306 |
| 2 | 0.091 |
| 3 | -2.363 |